DFT (GGA+U) results for an optimized crystal structure of Fe2Cu2Ge4O13.

Cell: 4.9675 8.7095 12.1984 Å, 90.00 96.12 90.00°
Closest atoms and distances in Å follow each position.
Space group P2_1/m (No. 11)
One atom of each set of equivalent atoms:
Fe: 0.0451 0.0637 0.3767 (multiplicity 4)  6 O 2.00-2.10
Cu: 0.0422 0.5021 0.1263 (multiplicity 4)  4 O 1.95-2.03
Ge: 0.3281 0.2500 0.7458 (multiplicity 2)  4 O 1.72-1.80
Ge: 0.3930 0.2500 0.9944 (multiplicity 2)  4 O 1.76-1.77
Ge: 0.3926 0.7500 0.4878 (multiplicity 2)  4 O 1.76-1.78
Ge: 0.4858 0.2500 0.2405 (multiplicity 2)  4 O 1.77-1.80
O: 0.1304 0.0798 0.7407 (multiplicity 4)  1 Ge 1.78
O: 0.2006 0.0801 0.9969 (multiplicity 4)  1 Ge 1.76, 2 Cu 1.95-1.97
O: 0.2066 0.5763 0.4959 (multiplicity 4)  1 Ge 1.78
O: 0.2112 0.7500 0.6684 (multiplicity 2)  1 Ge 1.77
O: 0.2798 0.0843 0.2488 (multiplicity 4)  1 Ge 1.78, 1 Cu 1.95
O: 0.2814 0.2500 0.4360 (multiplicity 2)  1 Ge 1.78
O: 0.3670 0.7500 0.8877 (multiplicity 2)  2 Ge 1.77-1.80
O: 0.4315 0.7500 0.3461 (multiplicity 2)  2 Ge 1.72-1.76
O: 0.4476 0.7500 0.1283 (multiplicity 2)  2 Ge 1.77-1.80

=====

DFT (GGA+U) results for an optimized crystal structure of HoCrO3.

Cell: 5.5975 7.6430 5.2897 Å, 90.00 90.00 90.00°
Closest atoms and distances in Å follow each position.
Space group Pnma (No. 62)
One atom of each set of equivalent atoms:
Ho: 0.0685 0.2500 0.0194 (multiplicity 4)  4 O 2.23-2.29
Cr: 0.0000 0.0000 0.5000 (multiplicity 4)  6 O 2.02-2.03
O: 0.0424 0.7500 0.3848 (multiplicity 4)  2 Cr 2.02, 1 Ho 2.23
O: 0.1954 0.5589 0.8092 (multiplicity 8)  2 Cr 2.02-2.03

=====

DFT (GGA+U) results for an optimized crystal structure of LiVCu2O6.

Cell: 5.7661 8.4889 9.8770 Å, 90.00 90.00 90.00°
Closest atoms and distances in Å follow each position.
Space group P2_12_12_1 (No. 19)
One atom of each set of equivalent atoms:
Li: 0.2420 0.0872 0.4935 (multiplicity 4)  3 O 1.84-1.87
V: 0.2435 0.4998 0.4730 (multiplicity 4)  3 O 1.67-1.83
Cu: 0.0028 0.7577 0.2598 (multiplicity 4)  4 O 1.83-1.93
Cu: 0.0057 0.7437 0.7402 (multiplicity 4)  4 O 1.83-1.94
O: 0.0130 0.4943 0.5752 (multiplicity 4)  1 V 1.67, 1 Li 1.84
O: 0.0287 0.5075 0.0769 (multiplicity 4)  1 V 1.67, 1 Li 1.84
O: 0.2452 0.1587 0.6726 (multiplicity 4)  2 Cu 1.83, 1 Li 1.87
O: 0.2454 0.1827 0.1452 (multiplicity 4)  2 Cu 1.83
O: 0.2449 0.3205 0.3604 (multiplicity 4)  1 V 1.89, 2 Cu 1.93-1.94
O: 0.2479 0.3252 0.8647 (multiplicity 4)  1 V 1.83, 2 Cu 1.91-1.92

=====

| no. | energy relative to the elements (eV/f.u.) |
| --- | --- |
| 1 | -36.704 |
| 2 | -16.149 |
| 3 | -15.217 |